! MgFe4P4O16 (PBE+U, relaxed); values from VASP
&SYSTEM
  ibrav = 0, nat = 25, ntyp = 4
/
ATOMIC_SPECIES
Mg 24.30 Mg.upf
Fe 55.84 Fe.upf
P 30.97 P.upf
O 16.00 O.upf
ATOMIC_POSITIONS crystal
Mg 0.000 0.000 0.000
Fe 0.143 0.498 0.274
Fe 0.503 0.599 0.756
Fe 0.716 0.090 0.729
Fe 0.954 0.101 0.328
P 0.261 0.004 0.645
P 0.477 0.143 0.110
P 0.688 0.495 0.435
P 0.951 0.656 0.932
O 0.037 0.634 0.095
O 0.040 0.016 0.537
O 0.103 0.080 0.791
O 0.183 0.557 0.826
O 0.249 0.057 0.131
O 0.379 0.307 0.184
O 0.412 0.551 0.372
O 0.421 0.821 0.680
O 0.454 0.101 0.582
O 0.584 0.163 0.944
O 0.660 0.443 0.607
O 0.713 0.588 0.921
O 0.733 0.032 0.189
O 0.838 0.627 0.405
O 0.881 0.843 0.887
O 0.888 0.347 0.350
CELL_PARAMETERS angstrom
5.279 0.000 0.000
2.541 8.110 0.000
0.820 0.638 8.853
! Polymorph energy (0 for the lowest one) (eV/atom): 0.032
! Raw total energy (eV/atom): -7.01

! Ca8Mn4Al4O21 (PBE+U, relaxed); values from VASP
&SYSTEM
  ibrav = 0, nat = 37, ntyp = 4
/
ATOMIC_SPECIES
Ca 40.08 Ca.upf
Mn 54.94 Mn.upf
Al 26.98 Al.upf
O 16.00 O.upf
ATOMIC_POSITIONS crystal
Ca 0.238 0.238 0.000
Ca 0.238 0.762 0.000
Ca 0.244 0.244 0.500
Ca 0.244 0.756 0.500
Ca 0.756 0.244 0.500
Ca 0.756 0.756 0.500
Ca 0.762 0.238 0.000
Ca 0.762 0.762 0.000
Mn 0.000 0.500 0.254
Mn 0.000 0.500 0.746
Mn 0.500 0.000 0.254
Mn 0.500 0.000 0.746
Al 0.000 0.000 0.234
Al 0.000 0.000 0.766
Al 0.500 0.500 0.248
Al 0.500 0.500 0.752
O 0.000 0.000 0.000
O 0.000 0.240 0.270
O 0.000 0.240 0.730
O 0.000 0.500 0.000
O 0.000 0.500 0.500
O 0.000 0.760 0.270
O 0.000 0.760 0.730
O 0.240 0.000 0.270
O 0.240 0.000 0.730
O 0.263 0.500 0.250
O 0.263 0.500 0.750
O 0.500 0.000 0.000
O 0.500 0.000 0.500
O 0.500 0.263 0.250
O 0.500 0.263 0.750
O 0.500 0.737 0.250
O 0.500 0.737 0.750
O 0.737 0.500 0.250
O 0.737 0.500 0.750
O 0.760 0.000 0.270
O 0.760 0.000 0.730
CELL_PARAMETERS angstrom
7.617 0.000 0.000
0.000 7.617 0.000
0.000 0.000 7.490
! Raw total energy (eV/atom): -6.85

! Sb2Te3WC4O4F12 (PBE+U, relaxed); values from VASP
&SYSTEM
  ibrav = 0, nat = 104, ntyp = 6
/
ATOMIC_SPECIES
Sb 121.76 Sb.upf
Te 127.60 Te.upf
W 183.84 W.upf
C 12.01 C.upf
O 16.00 O.upf
F 19.00 F.upf
ATOMIC_POSITIONS crystal
Sb 0.014 0.250 0.245
Sb 0.151 0.750 0.064
Sb 0.349 0.250 0.564
Sb 0.486 0.750 0.745
Sb 0.514 0.250 0.255
Sb 0.651 0.750 0.436
Sb 0.849 0.250 0.936
Sb 0.986 0.750 0.755
Te 0.026 0.750 0.466
Te 0.250 0.091 0.814
Te 0.250 0.409 0.814
Te 0.250 0.591 0.314
Te 0.250 0.909 0.314
Te 0.474 0.250 0.966
Te 0.526 0.750 0.034
Te 0.750 0.091 0.686
Te 0.750 0.409 0.686
Te 0.750 0.591 0.186
Te 0.750 0.909 0.186
Te 0.974 0.250 0.534
W 0.131 0.250 0.954
W 0.369 0.750 0.454
W 0.631 0.250 0.546
W 0.869 0.750 0.046
C 0.136 0.060 0.953
C 0.136 0.440 0.953
C 0.195 0.750 0.504
C 0.204 0.750 0.575
C 0.296 0.250 0.075
C 0.305 0.250 0.004
C 0.364 0.560 0.453
C 0.364 0.940 0.453
C 0.636 0.060 0.547
C 0.636 0.440 0.547
C 0.695 0.750 0.996
C 0.704 0.750 0.925
C 0.796 0.250 0.425
C 0.805 0.250 0.496
C 0.864 0.560 0.047
C 0.864 0.940 0.047
O 0.132 0.537 0.971
O 0.132 0.963 0.971
O 0.160 0.250 0.840
O 0.219 0.750 0.637
O 0.281 0.250 0.137
O 0.340 0.750 0.340
O 0.368 0.037 0.471
O 0.368 0.463 0.471
O 0.632 0.537 0.529
O 0.632 0.963 0.529
O 0.660 0.250 0.660
O 0.719 0.750 0.863
O 0.781 0.250 0.363
O 0.840 0.750 0.160
O 0.868 0.037 0.029
O 0.868 0.463 0.029
F 0.017 0.123 0.471
F 0.017 0.377 0.471
F 0.018 0.250 0.348
F 0.051 0.250 0.053
F 0.110 0.750 0.354
F 0.121 0.517 0.789
F 0.121 0.983 0.789
F 0.130 0.126 0.245
F 0.130 0.374 0.245
F 0.233 0.628 0.114
F 0.233 0.872 0.114
F 0.239 0.250 0.487
F 0.261 0.750 0.987
F 0.267 0.128 0.614
F 0.267 0.372 0.614
F 0.370 0.626 0.745
F 0.370 0.874 0.745
F 0.379 0.017 0.289
F 0.379 0.483 0.289
F 0.390 0.250 0.854
F 0.449 0.750 0.553
F 0.482 0.750 0.848
F 0.483 0.623 0.971
F 0.483 0.877 0.971
F 0.517 0.123 0.029
F 0.517 0.377 0.029
F 0.518 0.250 0.152
F 0.551 0.250 0.447
F 0.610 0.750 0.146
F 0.621 0.517 0.711
F 0.621 0.983 0.711
F 0.630 0.126 0.255
F 0.630 0.374 0.255
F 0.733 0.628 0.386
F 0.733 0.872 0.386
F 0.739 0.250 0.013
F 0.761 0.750 0.513
F 0.767 0.128 0.886
F 0.767 0.372 0.886
F 0.870 0.626 0.755
F 0.870 0.874 0.755
F 0.879 0.017 0.211
F 0.879 0.483 0.211
F 0.890 0.250 0.646
F 0.949 0.750 0.947
F 0.982 0.750 0.652
F 0.983 0.623 0.529
F 0.983 0.877 0.529
CELL_PARAMETERS angstrom
11.478 0.000 0.000
0.000 11.421 0.000
0.000 0.000 18.595
! Polymorph energy (0 for the lowest one) (eV/atom): 0.196
! Raw total energy (eV/atom): -5.29

! VSO5 (PBE+U, relaxed); values from VASP
&SYSTEM
  ibrav = 0, nat = 28, ntyp = 3
/
ATOMIC_SPECIES
V 50.94 V.upf
S 32.06 S.upf
O 16.00 O.upf
ATOMIC_POSITIONS crystal
V 0.155 0.250 0.234
V 0.345 0.750 0.734
V 0.655 0.250 0.266
V 0.845 0.750 0.766
S 0.127 0.750 0.125
S 0.373 0.250 0.625
S 0.627 0.750 0.375
S 0.873 0.250 0.875
O 0.047 0.250 0.982
O 0.119 0.750 0.684
O 0.128 0.566 0.246
O 0.128 0.934 0.246
O 0.209 0.250 0.506
O 0.291 0.750 0.006
O 0.372 0.066 0.746
O 0.372 0.434 0.746
O 0.381 0.250 0.184
O 0.453 0.750 0.482
O 0.547 0.250 0.518
O 0.619 0.750 0.816
O 0.628 0.566 0.254
O 0.628 0.934 0.254
O 0.709 0.250 0.994
O 0.791 0.750 0.494
O 0.872 0.066 0.754
O 0.872 0.434 0.754
O 0.881 0.250 0.316
O 0.953 0.750 0.018
CELL_PARAMETERS angstrom
7.259 0.000 0.000
0.000 6.395 0.000
0.000 0.000 7.406
! Polymorph energy (0 for the lowest one) (eV/atom): 0.000
! Raw total energy (eV/atom): -6.79

! NiH2O2 (PBE+U, relaxed); values from VASP
&SYSTEM
  ibrav = 0, nat = 10, ntyp = 3
/
ATOMIC_SPECIES
Ni 58.69 Ni.upf
H 1.01 H.upf
O 16.00 O.upf
ATOMIC_POSITIONS crystal
Ni 0.444 0.556 0.000
Ni 0.944 0.056 0.000
H 0.403 0.879 0.703
H 0.903 0.379 0.703
H 0.982 0.736 0.297
H 0.482 0.236 0.297
O 0.424 0.881 0.847
O 0.924 0.381 0.847
O 0.965 0.730 0.153
O 0.465 0.230 0.153
CELL_PARAMETERS angstrom
-3.142 0.005 0.177
0.008 -5.445 0.165
0.819 0.486 6.653
! Polymorph energy (0 for the lowest one) (eV/atom): 0.016
! Raw total energy (eV/atom): -4.94

! Li7Mn5O12 (PBE+U, relaxed); values from VASP
&SYSTEM
  ibrav = 0, nat = 24, ntyp = 3
/
ATOMIC_SPECIES
Li 6.94 Li.upf
Mn 54.94 Mn.upf
O 16.00 O.upf
ATOMIC_POSITIONS crystal
Li 0.000 0.000 0.000
Li 0.000 0.500 0.000
Li 0.010 0.166 0.316
Li 0.480 0.666 0.847
Li 0.500 0.000 0.500
Li 0.520 0.334 0.153
Li 0.990 0.834 0.684
Mn 0.007 0.670 0.323
Mn 0.492 0.168 0.842
Mn 0.500 0.500 0.500
Mn 0.508 0.832 0.158
Mn 0.993 0.330 0.677
O 0.242 0.483 0.760
O 0.247 0.028 0.748
O 0.250 0.361 0.418
O 0.274 0.682 0.090
O 0.280 0.824 0.393
O 0.285 0.150 0.072
O 0.715 0.850 0.928
O 0.720 0.176 0.607
O 0.726 0.318 0.910
O 0.750 0.639 0.582
O 0.753 0.972 0.252
O 0.758 0.517 0.240
CELL_PARAMETERS angstrom
5.129 0.000 0.000
1.781 5.590 0.000
1.375 1.169 7.743
! Polymorph energy (0 for the lowest one) (eV/atom): 0.030
! Raw total energy (eV/atom): -6.38

! Sr2CoSbO6 (PBE+U, relaxed); values from VASP
&SYSTEM
  ibrav = 0, nat = 40, ntyp = 4
/
ATOMIC_SPECIES
Sr 87.62 Sr.upf
Co 58.93 Co.upf
Sb 121.76 Sb.upf
O 16.00 O.upf
ATOMIC_POSITIONS crystal
Sr 0.000 0.500 0.003
Sr 0.000 0.500 0.498
Sr 0.247 0.753 0.250
Sr 0.248 0.752 0.750
Sr 0.500 0.000 0.002
Sr 0.500 0.000 0.497
Sr 0.752 0.248 0.250
Sr 0.753 0.247 0.750
Co 0.124 0.124 0.876
Co 0.374 0.374 0.126
Co 0.626 0.626 0.374
Co 0.876 0.876 0.624
Sb 0.125 0.125 0.375
Sb 0.375 0.375 0.625
Sb 0.625 0.625 0.875
Sb 0.875 0.875 0.125
O 0.001 0.001 0.499
O 0.122 0.627 0.626
O 0.124 0.126 0.126
O 0.124 0.626 0.126
O 0.126 0.124 0.624
O 0.249 0.249 0.251
O 0.253 0.253 0.747
O 0.372 0.879 0.874
O 0.375 0.875 0.375
O 0.376 0.376 0.371
O 0.376 0.376 0.878
O 0.497 0.497 0.503
O 0.503 0.503 0.997
O 0.624 0.625 0.128
O 0.625 0.624 0.623
O 0.626 0.124 0.124
O 0.627 0.122 0.625
O 0.747 0.747 0.753
O 0.751 0.751 0.249
O 0.874 0.875 0.375
O 0.875 0.375 0.376
O 0.875 0.874 0.875
O 0.879 0.372 0.874
O 0.999 0.999 0.001
CELL_PARAMETERS angstrom
0.000 5.630 8.086
5.614 0.000 8.086
5.614 5.630 0.000
! Raw total energy (eV/atom): -6.21

! LuVO3 (PBE+U, relaxed); values from VASP
&SYSTEM
  ibrav = 0, nat = 5, ntyp = 3
/
ATOMIC_SPECIES
Lu 174.97 Lu.upf
V 50.94 V.upf
O 16.00 O.upf
ATOMIC_POSITIONS crystal
Lu 0.000 0.000 0.000
V 0.500 0.500 0.500
O 0.000 0.500 0.500
O 0.500 0.000 0.500
O 0.500 0.500 0.000
CELL_PARAMETERS angstrom
3.854 0.000 0.000
0.000 3.854 0.000
0.000 0.000 3.854
! Raw total energy (eV/atom): -7.70

! Na3CoSiCO7 (PBE+U, relaxed); values from VASP
&SYSTEM
  ibrav = 0, nat = 26, ntyp = 5
/
ATOMIC_SPECIES
Na 22.99 Na.upf
Co 58.93 Co.upf
Si 28.09 Si.upf
C 12.01 C.upf
O 16.00 O.upf
ATOMIC_POSITIONS crystal
Na 0.239 0.250 0.084
Na 0.252 0.504 0.739
Na 0.252 0.996 0.739
Na 0.748 0.004 0.261
Na 0.748 0.496 0.261
Na 0.761 0.750 0.916
Co 0.205 0.750 0.357
Co 0.795 0.250 0.643
Si 0.300 0.250 0.421
Si 0.700 0.750 0.579
C 0.270 0.750 0.061
C 0.730 0.250 0.939
O 0.046 0.750 0.123
O 0.150 0.250 0.576
O 0.226 0.046 0.317
O 0.226 0.454 0.317
O 0.282 0.750 0.919
O 0.385 0.750 0.549
O 0.478 0.750 0.142
O 0.522 0.250 0.858
O 0.615 0.250 0.451
O 0.718 0.250 0.081
O 0.774 0.546 0.683
O 0.774 0.954 0.683
O 0.850 0.750 0.424
O 0.954 0.250 0.877
CELL_PARAMETERS angstrom
5.195 0.000 0.000
0.000 6.427 0.000
-0.201 0.000 9.126
! Raw total energy (eV/atom): -6.30

! MgCo6O9F3 (PBE+U, relaxed); values from VASP
&SYSTEM
  ibrav = 0, nat = 19, ntyp = 4
/
ATOMIC_SPECIES
Mg 24.30 Mg.upf
Co 58.93 Co.upf
O 16.00 O.upf
F 19.00 F.upf
ATOMIC_POSITIONS crystal
Mg 0.000 0.000 0.000
Co 0.001 0.503 0.995
Co 0.013 0.492 0.495
Co 0.341 0.836 0.651
Co 0.435 0.749 0.160
Co 0.570 0.259 0.830
Co 0.658 0.174 0.340
O 0.089 0.636 0.188
O 0.270 0.701 0.453
O 0.340 0.509 0.847
O 0.348 0.164 0.466
O 0.378 0.971 0.873
O 0.622 0.039 0.119
O 0.658 0.492 0.148
O 0.742 0.303 0.537
O 0.920 0.362 0.804
F 0.016 0.155 0.213
F 0.707 0.839 0.508
F 0.960 0.851 0.794
CELL_PARAMETERS angstrom
5.568 0.000 0.000
0.697 5.716 0.000
1.618 1.981 6.242
! Polymorph energy (0 for the lowest one) (eV/atom): 0.000
! Raw total energy (eV/atom): -5.58

! LiAlCrO3 (PBE+U, relaxed); values from VASP
&SYSTEM
  ibrav = 0, nat = 12, ntyp = 4
/
ATOMIC_SPECIES
Li 6.94 Li.upf
Al 26.98 Al.upf
Cr 52.00 Cr.upf
O 16.00 O.upf
ATOMIC_POSITIONS crystal
Li 0.238 0.347 0.370
Li 0.762 0.653 0.630
Al 0.048 0.851 0.863
Al 0.952 0.149 0.137
Cr 0.489 0.750 0.249
Cr 0.511 0.250 0.751
O 0.011 0.781 0.219
O 0.246 0.167 0.156
O 0.375 0.671 0.666
O 0.625 0.329 0.334
O 0.754 0.833 0.844
O 0.989 0.219 0.781
CELL_PARAMETERS angstrom
5.685 0.000 0.000
2.800 5.066 0.000
2.762 1.558 4.843
! Raw total energy (eV/atom): -6.95

! Mn7CrO16 (PBE+U, relaxed); values from VASP
&SYSTEM
  ibrav = 0, nat = 24, ntyp = 3
/
ATOMIC_SPECIES
Mn 54.94 Mn.upf
Cr 52.00 Cr.upf
O 16.00 O.upf
ATOMIC_POSITIONS crystal
Mn 0.000 0.000 0.000
Mn 0.000 0.500 0.500
Mn 0.250 0.250 0.250
Mn 0.250 0.750 0.250
Mn 0.500 0.500 0.500
Mn 0.750 0.250 0.750
Mn 0.750 0.750 0.750
Cr 0.500 0.000 0.000
O 0.029 0.500 0.265
O 0.030 0.000 0.235
O 0.249 0.220 0.016
O 0.249 0.780 0.016
O 0.250 0.280 0.486
O 0.250 0.720 0.486
O 0.469 0.000 0.236
O 0.470 0.500 0.265
O 0.530 0.500 0.735
O 0.531 0.000 0.764
O 0.750 0.280 0.514
O 0.750 0.720 0.514
O 0.751 0.220 0.984
O 0.751 0.780 0.984
O 0.970 0.000 0.765
O 0.971 0.500 0.735
CELL_PARAMETERS angstrom
5.825 0.000 0.000
0.000 5.823 0.000
-0.016 0.000 8.239
! Raw total energy (eV/atom): -7.12

Number 1: energy of formation -2.362 eV/atom. Number 2: energy of formation -2.785 eV/atom. Number 3: energy of formation -1.539 eV/atom. Number 4: energy of formation -2.098 eV/atom. Number 5: energy of formation -1.229 eV/atom. Number 6: energy of formation -2.127 eV/atom. Number 7: energy of formation -2.354 eV/atom. Number 8: energy of formation -2.765 eV/atom. Number 9: energy of formation -2.155 eV/atom. Number 10: energy of formation -1.520 eV/atom. Number 11: energy of formation -2.606 eV/atom. Number 12: energy of formation -1.776 eV/atom.